Record 1
Below is a relaxed Na6Zn3As4O19 crystal, with properties calculated at the GGA-PBE level.

## Properties
SG = P2_13, No. 198

Lattice parameters (Å, degrees): 12.339 12.339 12.339 90.00 90.00 90.00
Sites, in units of the cell vectors:
Na (0.252, 0.924, 0.509)
Na (0.491, 0.752, 0.576)
Na (0.424, 0.991, 0.748)
Na (0.752, 0.576, 0.491)
Na (0.991, 0.748, 0.424)
Na (0.924, 0.509, 0.252)
Na (0.748, 0.424, 0.991)
Na (0.509, 0.252, 0.924)
Na (0.576, 0.491, 0.752)
Na (0.248, 0.076, 0.009)
Na (0.009, 0.248, 0.076)
Na (0.076, 0.009, 0.248)
Na (0.247, 0.675, 0.993)
Na (0.007, 0.747, 0.825)
Na (0.175, 0.507, 0.753)
Na (0.747, 0.825, 0.007)
Na (0.507, 0.753, 0.175)
Na (0.675, 0.993, 0.247)
Na (0.753, 0.175, 0.507)
Na (0.993, 0.247, 0.675)
Na (0.825, 0.007, 0.747)
Na (0.253, 0.325, 0.493)
Na (0.493, 0.253, 0.325)
Na (0.325, 0.493, 0.253)
Zn (0.238, 0.626, 0.495)
Zn (0.505, 0.738, 0.874)
Zn (0.126, 0.005, 0.762)
Zn (0.738, 0.874, 0.505)
Zn (0.005, 0.762, 0.126)
Zn (0.626, 0.495, 0.238)
Zn (0.762, 0.126, 0.005)
Zn (0.495, 0.238, 0.626)
Zn (0.874, 0.505, 0.738)
Zn (0.262, 0.374, 0.995)
Zn (0.995, 0.262, 0.374)
Zn (0.374, 0.995, 0.262)
As (0.280, 0.780, 0.720)
As (0.780, 0.720, 0.280)
As (0.720, 0.280, 0.780)
As (0.220, 0.220, 0.220)
As (0.027, 0.527, 0.973)
As (0.527, 0.973, 0.027)
As (0.973, 0.027, 0.527)
As (0.473, 0.473, 0.473)
As (0.764, 0.264, 0.236)
As (0.264, 0.236, 0.764)
As (0.236, 0.764, 0.264)
As (0.736, 0.736, 0.736)
As (0.517, 0.017, 0.483)
As (0.017, 0.483, 0.517)
As (0.483, 0.517, 0.017)
As (0.983, 0.983, 0.983)
O (0.439, 0.939, 0.561)
O (0.939, 0.561, 0.439)
O (0.561, 0.439, 0.939)
O (0.061, 0.061, 0.061)
O (0.201, 0.701, 0.799)
O (0.701, 0.799, 0.201)
O (0.799, 0.201, 0.701)
O (0.299, 0.299, 0.299)
O (0.947, 0.447, 0.053)
O (0.447, 0.053, 0.947)
O (0.053, 0.947, 0.447)
O (0.553, 0.553, 0.553)
O (0.684, 0.184, 0.316)
O (0.184, 0.316, 0.684)
O (0.316, 0.684, 0.184)
O (0.816, 0.816, 0.816)
O (0.414, 0.795, 0.760)
O (0.240, 0.914, 0.705)
O (0.295, 0.740, 0.586)
O (0.914, 0.705, 0.240)
O (0.740, 0.586, 0.295)
O (0.795, 0.760, 0.414)
O (0.586, 0.295, 0.740)
O (0.760, 0.414, 0.795)
O (0.705, 0.240, 0.914)
O (0.086, 0.205, 0.260)
O (0.260, 0.086, 0.205)
O (0.205, 0.260, 0.086)
O (0.972, 0.561, 0.848)
O (0.152, 0.472, 0.939)
O (0.061, 0.652, 0.028)
O (0.472, 0.939, 0.152)
O (0.652, 0.028, 0.061)
O (0.561, 0.848, 0.972)
O (0.028, 0.061, 0.652)
O (0.848, 0.972, 0.561)
O (0.939, 0.152, 0.472)
O (0.528, 0.439, 0.348)
O (0.348, 0.528, 0.439)
O (0.439, 0.348, 0.528)
O (0.864, 0.332, 0.309)
O (0.691, 0.364, 0.168)
O (0.832, 0.191, 0.136)
O (0.364, 0.168, 0.691)
O (0.191, 0.136, 0.832)
O (0.332, 0.309, 0.864)
O (0.136, 0.832, 0.191)
O (0.309, 0.864, 0.332)
O (0.168, 0.691, 0.364)
O (0.636, 0.668, 0.809)
O (0.809, 0.636, 0.668)
O (0.668, 0.809, 0.636)
O (0.445, 0.079, 0.378)
O (0.622, 0.945, 0.421)
O (0.579, 0.122, 0.555)
O (0.945, 0.421, 0.622)
O (0.122, 0.555, 0.579)
O (0.079, 0.378, 0.445)
O (0.555, 0.579, 0.122)
O (0.378, 0.445, 0.079)
O (0.421, 0.622, 0.945)
O (0.055, 0.921, 0.878)
O (0.878, 0.055, 0.921)
O (0.921, 0.878, 0.055)
O (0.265, 0.124, 0.502)
O (0.498, 0.765, 0.376)
O (0.624, 0.998, 0.735)
O (0.765, 0.376, 0.498)
O (0.998, 0.735, 0.624)
O (0.124, 0.502, 0.265)
O (0.735, 0.624, 0.998)
O (0.502, 0.265, 0.124)
O (0.376, 0.498, 0.765)
O (0.235, 0.876, 0.002)
O (0.002, 0.235, 0.876)
O (0.876, 0.002, 0.235)

Record 2
Below is a relaxed Hf2S crystal, with properties calculated at the GGA-PBE level.

## Properties
SG = P6_3/mmc, No. 194

Lattice parameters (Å, degrees): 3.387 3.387 11.787 90.00 90.00 120.00
Sites, in units of the cell vectors:
Hf (0.667, 0.333, 0.100)
Hf (0.333, 0.667, 0.600)
Hf (0.667, 0.333, 0.400)
Hf (0.333, 0.667, 0.900)
S (0.000, 0.000, 0.250)
S (0.000, 0.000, 0.750)

no.,uncorrected energy (Ry per atom)
1,-0.3745
2,-0.6648